The following is a DFT calculation (r²SCAN) of a relaxed RbTe2O6 crystal.

Total energy ... -112.376 eV per formula unit
Spin magnetization ... 0.0000 μB per atom
V ... 280 Å³/cell
DFT formation energy ... -1136 kJ/mol of formula units

abc: 7.343 7.343 7.343
angles: 60.00 60.00 60.00
Fractional coordinates of all 18 atoms:
Rb 0.125 0.125 0.125
Rb 0.875 0.875 0.875
Te 0.000 0.500 0.500
Te 0.500 0.000 0.500
Te 0.500 0.500 0.000
Te 0.500 0.500 0.500
O 0.182 0.182 0.568
O 0.182 0.568 0.182
O 0.182 0.568 0.568
O 0.432 0.432 0.818
O 0.432 0.818 0.432
O 0.432 0.818 0.818
O 0.568 0.182 0.182
O 0.568 0.182 0.568
O 0.568 0.568 0.182
O 0.818 0.432 0.432
O 0.818 0.432 0.818
O 0.818 0.818 0.432

---

The following is a DFT calculation (r²SCAN) of a relaxed Rb2TiTe3O12 crystal.

Total energy ... -220.082 eV per formula unit
Spin magnetization ... 0.0000 μB per atom
V ... 259 Å³/cell
DFT formation energy ... -3026 kJ/mol of formula units

abc: 7.143 7.143 7.143
angles: 60.23 60.23 60.23
Fractional coordinates of all 18 atoms:
Rb 0.131 0.131 0.131
Rb 0.869 0.869 0.869
Ti 0.500 0.500 0.500
Te 0.000 0.500 0.500
Te 0.500 0.000 0.500
Te 0.500 0.500 0.000
O 0.176 0.176 0.570
O 0.176 0.570 0.176
O 0.179 0.566 0.566
O 0.430 0.824 0.824
O 0.434 0.434 0.821
O 0.434 0.821 0.434
O 0.566 0.179 0.566
O 0.566 0.566 0.179
O 0.570 0.176 0.176
O 0.821 0.434 0.434
O 0.824 0.430 0.824
O 0.824 0.824 0.430

---

The following is a DFT calculation (r²SCAN) of a relaxed Rb4TiO4 crystal.

Total energy ... -112.472 eV per formula unit
Spin magnetization ... 0.0000 μB per atom
V ... 775 Å³/cell
DFT formation energy ... -1922 kJ/mol of formula units

abc: 11.074 6.853 11.020
angles: 90.00 112.10 90.00
Fractional coordinates of all 36 atoms:
Rb 0.067 0.077 0.206
Rb 0.067 0.423 0.706
Rb 0.159 0.611 0.074
Rb 0.159 0.889 0.574
Rb 0.375 0.676 0.892
Rb 0.375 0.824 0.392
Rb 0.420 0.188 0.789
Rb 0.420 0.312 0.289
Rb 0.580 0.688 0.711
Rb 0.580 0.812 0.211
Rb 0.625 0.176 0.608
Rb 0.625 0.324 0.108
Rb 0.841 0.111 0.426
Rb 0.841 0.389 0.926
Rb 0.933 0.577 0.294
Rb 0.933 0.923 0.794
Ti 0.240 0.125 0.988
Ti 0.240 0.375 0.488
Ti 0.760 0.625 0.512
Ti 0.760 0.875 0.012
O 0.084 0.226 0.978
O 0.084 0.274 0.478
O 0.213 0.507 0.335
O 0.213 0.993 0.835
O 0.311 0.534 0.633
O 0.311 0.966 0.133
O 0.352 0.168 0.505
O 0.352 0.332 0.005
O 0.648 0.668 0.995
O 0.648 0.832 0.495
O 0.689 0.034 0.867
O 0.689 0.466 0.367
O 0.787 0.007 0.165
O 0.787 0.493 0.665
O 0.916 0.726 0.522
O 0.916 0.774 0.022

---

The following is a DFT calculation (r²SCAN) of a relaxed Rb4TiO4 crystal.

Total energy ... -112.471 eV per formula unit
Spin magnetization ... 0.0000 μB per atom
V ... 386 Å³/cell
DFT formation energy ... -1922 kJ/mol of formula units

abc: 6.674 6.711 9.950
angles: 71.74 79.08 66.14
Fractional coordinates of all 18 atoms:
Rb 0.214 0.468 0.124
Rb 0.240 0.267 0.533
Rb 0.254 0.909 0.342
Rb 0.280 0.009 0.938
Rb 0.720 0.991 0.062
Rb 0.746 0.091 0.658
Rb 0.760 0.733 0.467
Rb 0.786 0.532 0.876
Ti 0.269 0.659 0.748
Ti 0.731 0.341 0.252
O 0.050 0.795 0.870
O 0.128 0.666 0.605
O 0.435 0.370 0.845
O 0.446 0.826 0.688
O 0.554 0.174 0.312
O 0.565 0.630 0.155
O 0.872 0.334 0.395
O 0.950 0.205 0.130

---

The following is a DFT calculation (r²SCAN) of a relaxed Rb2TiO3 crystal.

Total energy ... -74.361 eV per formula unit
Spin magnetization ... 0.0000 μB per atom
V ... 479 Å³/cell
DFT formation energy ... -1509 kJ/mol of formula units

abc: 6.690 6.690 13.347
angles: 90.00 90.00 126.61
Fractional coordinates of all 24 atoms:
Rb 0.058 0.942 0.863
Rb 0.131 0.869 0.426
Rb 0.369 0.631 0.926
Rb 0.442 0.558 0.363
Rb 0.558 0.442 0.637
Rb 0.631 0.369 0.074
Rb 0.869 0.131 0.574
Rb 0.942 0.058 0.137
Ti 0.245 0.755 0.670
Ti 0.255 0.745 0.170
Ti 0.745 0.255 0.830
Ti 0.755 0.245 0.330
O 0.026 0.474 0.750
O 0.101 0.899 0.637
O 0.168 0.832 0.062
O 0.332 0.668 0.562
O 0.399 0.601 0.137
O 0.474 0.026 0.250
O 0.526 0.974 0.750
O 0.601 0.399 0.863
O 0.668 0.332 0.438
O 0.832 0.168 0.938
O 0.899 0.101 0.363
O 0.974 0.526 0.250

---

The following is a DFT calculation (r²SCAN) of a relaxed Rb6Ti2O7 crystal.

Total energy ... -187.078 eV per formula unit
Spin magnetization ... 0.0000 μB per atom
V ... 639 Å³/cell
DFT formation energy ... -3455 kJ/mol of formula units

abc: 6.844 9.621 11.672
angles: 90.00 123.78 90.00
Fractional coordinates of all 30 atoms:
Rb 0.043 0.151 0.424
Rb 0.043 0.349 0.924
Rb 0.205 0.525 0.453
Rb 0.205 0.975 0.953
Rb 0.403 0.210 0.281
Rb 0.403 0.290 0.781
Rb 0.597 0.710 0.219
Rb 0.597 0.790 0.719
Rb 0.795 0.025 0.047
Rb 0.795 0.475 0.547
Rb 0.957 0.651 0.076
Rb 0.957 0.849 0.576
Ti 0.317 0.640 0.870
Ti 0.317 0.860 0.370
Ti 0.683 0.140 0.630
Ti 0.683 0.360 0.130
O 0.052 0.669 0.866
O 0.052 0.831 0.366
O 0.248 0.592 0.702
O 0.248 0.908 0.202
O 0.500 0.000 0.500
O 0.500 0.206 0.072
O 0.500 0.294 0.572
O 0.500 0.500 0.000
O 0.500 0.706 0.428
O 0.500 0.794 0.928
O 0.752 0.092 0.798
O 0.752 0.408 0.298
O 0.948 0.169 0.634
O 0.948 0.331 0.134